Record 1
Computed, not measured: crystalline BaTeMo2O9 at its relaxed geometry at the PBE with a Hubbard U level of DFT.

abc: 15.104 5.792 18.050
angles: 90.00 90.00 90.00
Atoms (fractional coordinates):
Ba 0.091 0.010 0.000
Ba 0.162 0.526 0.561
Ba 0.338 0.526 0.061
Ba 0.409 0.010 0.500
Ba 0.591 0.990 0.000
Ba 0.662 0.474 0.561
Ba 0.838 0.474 0.061
Ba 0.909 0.990 0.500
Te 0.033 0.855 0.724
Te 0.212 0.650 0.836
Te 0.288 0.650 0.336
Te 0.467 0.855 0.224
Te 0.533 0.145 0.724
Te 0.712 0.350 0.836
Te 0.788 0.350 0.336
Te 0.967 0.145 0.224
Mo 0.010 0.511 0.371
Mo 0.088 0.522 0.150
Mo 0.162 0.020 0.412
Mo 0.242 0.016 0.190
Mo 0.258 0.016 0.690
Mo 0.338 0.020 0.912
Mo 0.412 0.522 0.650
Mo 0.490 0.511 0.871
Mo 0.510 0.489 0.371
Mo 0.588 0.478 0.150
Mo 0.662 0.980 0.412
Mo 0.742 0.984 0.190
Mo 0.758 0.984 0.690
Mo 0.838 0.980 0.912
Mo 0.912 0.478 0.650
Mo 0.990 0.489 0.871
O 0.005 0.743 0.625
O 0.009 0.449 0.251
O 0.014 0.443 0.467
O 0.018 0.749 0.120
O 0.075 0.279 0.870
O 0.084 0.180 0.356
O 0.091 0.754 0.852
O 0.099 0.948 0.491
O 0.109 0.685 0.360
O 0.141 0.181 0.200
O 0.149 0.452 0.068
O 0.156 0.757 0.709
O 0.170 0.674 0.205
O 0.177 0.235 0.690
O 0.233 0.241 0.445
O 0.239 0.940 0.094
O 0.242 0.757 0.935
O 0.243 0.952 0.309
O 0.257 0.952 0.809
O 0.258 0.757 0.435
O 0.261 0.940 0.594
O 0.267 0.241 0.945
O 0.323 0.235 0.190
O 0.330 0.674 0.705
O 0.344 0.757 0.209
O 0.351 0.452 0.568
O 0.359 0.181 0.700
O 0.391 0.685 0.860
O 0.401 0.948 0.991
O 0.409 0.754 0.352
O 0.416 0.180 0.856
O 0.425 0.279 0.370
O 0.482 0.749 0.620
O 0.486 0.443 0.967
O 0.491 0.449 0.751
O 0.495 0.743 0.125
O 0.505 0.257 0.625
O 0.509 0.551 0.251
O 0.514 0.557 0.467
O 0.518 0.251 0.120
O 0.575 0.721 0.870
O 0.584 0.820 0.356
O 0.591 0.246 0.852
O 0.599 0.052 0.491
O 0.609 0.315 0.360
O 0.641 0.819 0.200
O 0.649 0.548 0.068
O 0.656 0.243 0.709
O 0.670 0.326 0.205
O 0.677 0.765 0.690
O 0.733 0.759 0.445
O 0.739 0.060 0.094
O 0.742 0.243 0.935
O 0.743 0.048 0.309
O 0.757 0.048 0.809
O 0.758 0.243 0.435
O 0.761 0.060 0.594
O 0.767 0.759 0.945
O 0.823 0.765 0.190
O 0.830 0.326 0.705
O 0.844 0.243 0.209
O 0.851 0.548 0.568
O 0.859 0.819 0.700
O 0.891 0.315 0.860
O 0.901 0.052 0.991
O 0.909 0.246 0.352
O 0.916 0.820 0.856
O 0.925 0.721 0.370
O 0.982 0.251 0.620
O 0.986 0.557 0.967
O 0.991 0.551 0.751
O 0.995 0.257 0.125

Values from the calculation:
total DFT energy (no corrections): -693.28 eV/cell
symmetry: Pca2_1

***

Record 2
Computed, not measured: crystalline LiVPO5 at its relaxed geometry at the PBE with a Hubbard U level of DFT.

abc: 12.743 6.342 10.584
angles: 90.00 90.00 90.00
Atoms (fractional coordinates):
Li 0.102 0.041 0.000
Li 0.171 0.645 0.729
Li 0.329 0.145 0.229
Li 0.398 0.541 0.500
Li 0.602 0.459 0.000
Li 0.671 0.855 0.729
Li 0.829 0.355 0.229
Li 0.898 0.959 0.500
V 0.129 0.012 0.472
V 0.245 0.728 0.228
V 0.255 0.228 0.728
V 0.371 0.512 0.972
V 0.629 0.488 0.472
V 0.745 0.772 0.228
V 0.755 0.272 0.728
V 0.871 0.988 0.972
P 0.005 0.176 0.738
P 0.186 0.506 0.487
P 0.314 0.006 0.987
P 0.495 0.676 0.238
P 0.505 0.324 0.738
P 0.686 0.994 0.487
P 0.814 0.494 0.987
P 0.995 0.824 0.238
O 0.001 0.967 0.358
O 0.012 0.035 0.617
O 0.093 0.681 0.232
O 0.103 0.322 0.749
O 0.113 0.320 0.458
O 0.121 0.702 0.524
O 0.220 0.978 0.351
O 0.227 0.048 0.611
O 0.235 0.045 0.877
O 0.236 0.969 0.101
O 0.264 0.469 0.601
O 0.265 0.545 0.377
O 0.273 0.548 0.111
O 0.280 0.478 0.851
O 0.379 0.202 0.024
O 0.387 0.820 0.958
O 0.397 0.822 0.249
O 0.407 0.181 0.732
O 0.488 0.535 0.117
O 0.499 0.467 0.858
O 0.501 0.533 0.358
O 0.512 0.465 0.617
O 0.593 0.819 0.232
O 0.603 0.178 0.749
O 0.613 0.180 0.458
O 0.621 0.798 0.524
O 0.720 0.522 0.351
O 0.727 0.452 0.611
O 0.735 0.455 0.877
O 0.736 0.531 0.101
O 0.764 0.031 0.601
O 0.765 0.955 0.377
O 0.773 0.952 0.111
O 0.780 0.022 0.851
O 0.879 0.298 0.024
O 0.887 0.680 0.958
O 0.897 0.678 0.249
O 0.907 0.319 0.732
O 0.988 0.965 0.117
O 0.999 0.033 0.858

Values from the calculation:
total DFT energy (no corrections): -455.67 eV/cell
symmetry: Pna2_1

***

Record 3
Computed, not measured: crystalline Li4V3Ni3Te2O16 at its relaxed geometry at the PBE with a Hubbard U level of DFT.

abc: 5.882 6.012 10.230
angles: 90.23 90.15 119.23
Atoms (fractional coordinates):
Li 0.000 0.000 0.000
Li 0.006 0.011 0.510
Li 0.339 0.668 0.091
Li 0.659 0.314 0.591
V 0.179 0.357 0.761
V 0.342 0.183 0.273
V 0.841 0.194 0.275
Ni 0.170 0.826 0.780
Ni 0.659 0.826 0.780
Ni 0.831 0.666 0.290
Te 0.354 0.705 0.499
Te 0.671 0.337 0.981
O 0.014 0.025 0.695
O 0.016 0.484 0.665
O 0.133 0.286 0.385
O 0.181 0.864 0.400
O 0.312 0.621 0.885
O 0.332 0.165 0.892
O 0.468 0.483 0.664
O 0.479 0.957 0.642
O 0.484 0.466 0.181
O 0.527 0.023 0.176
O 0.670 0.313 0.388
O 0.683 0.855 0.404
O 0.836 0.165 0.891
O 0.837 0.671 0.897
O 0.986 0.468 0.177
O 0.993 0.001 0.188

Values from the calculation:
total DFT energy (no corrections): -168.98 eV/cell
symmetry: P1

***

Record 4
Computed, not measured: crystalline Ni4Mo4O19 at its relaxed geometry at the PBE with a Hubbard U level of DFT.

abc: 6.830 6.970 9.420
angles: 76.52 83.47 74.73
Atoms (fractional coordinates):
Ni 0.000 0.000 0.000
Ni 0.025 0.185 0.272
Ni 0.641 0.524 0.330
Ni 0.667 0.709 0.602
Mo 0.079 0.650 0.356
Mo 0.587 0.059 0.246
Mo 0.832 0.158 0.618
Mo 0.834 0.551 0.983
O 0.035 0.903 0.232
O 0.046 0.097 0.494
O 0.277 0.955 0.945
O 0.324 0.163 0.236
O 0.340 0.357 0.835
O 0.342 0.546 0.365
O 0.391 0.755 0.657
O 0.620 0.612 0.107
O 0.632 0.806 0.370
O 0.671 0.990 0.628
O 0.687 0.044 0.066
O 0.690 0.426 0.553
O 0.705 0.224 0.314
O 0.742 0.579 0.810
O 0.924 0.130 0.792
O 0.961 0.485 0.287
O 0.976 0.283 0.049
O 0.979 0.665 0.535
O 0.995 0.719 0.973

Values from the calculation:
total DFT energy (no corrections): -160.64 eV/cell
symmetry: P1

***

Record 5
Computed, not measured: crystalline KSmMo2O8 at its relaxed geometry at the PBE with a Hubbard U level of DFT.

abc: 7.590 7.590 7.871
angles: 118.32 118.32 88.31
Atoms (fractional coordinates):
K 0.200 0.800 0.750
K 0.800 0.200 0.250
Sm 0.229 0.771 0.250
Sm 0.771 0.229 0.750
Mo 0.303 0.307 0.761
Mo 0.307 0.303 0.261
Mo 0.693 0.697 0.739
Mo 0.697 0.693 0.239
O 0.050 0.206 0.690
O 0.071 0.384 0.129
O 0.206 0.050 0.190
O 0.233 0.386 0.562
O 0.368 0.583 0.027
O 0.384 0.071 0.629
O 0.386 0.233 0.062
O 0.417 0.632 0.473
O 0.583 0.368 0.527
O 0.614 0.767 0.938
O 0.616 0.929 0.371
O 0.632 0.417 0.973
O 0.767 0.614 0.438
O 0.794 0.950 0.810
O 0.929 0.616 0.871
O 0.950 0.794 0.310

Values from the calculation:
total DFT energy (no corrections): -170.93 eV/cell
symmetry: C2/c

***

Record 6
Computed, not measured: crystalline UVAgO6 at its relaxed geometry at the PBE with a Hubbard U level of DFT.

abc: 6.173 8.406 10.493
angles: 90.00 96.87 90.00
Atoms (fractional coordinates):
U 0.015 0.020 0.317
U 0.015 0.480 0.817
U 0.985 0.520 0.183
U 0.985 0.980 0.683
V 0.131 0.650 0.541
V 0.131 0.850 0.041
V 0.869 0.150 0.959
V 0.869 0.350 0.459
Ag 0.458 0.224 0.166
Ag 0.458 0.276 0.666
Ag 0.542 0.724 0.334
Ag 0.542 0.776 0.834
O 0.044 0.650 0.992
O 0.044 0.850 0.492
O 0.056 0.063 0.102
O 0.056 0.437 0.602
O 0.125 0.710 0.711
O 0.125 0.790 0.211
O 0.270 0.049 0.723
O 0.270 0.451 0.223
O 0.299 0.086 0.352
O 0.299 0.414 0.852
O 0.386 0.642 0.508
O 0.386 0.858 0.008
O 0.614 0.142 0.992
O 0.614 0.358 0.492
O 0.701 0.586 0.148
O 0.701 0.914 0.648
O 0.730 0.549 0.777
O 0.730 0.951 0.277
O 0.875 0.210 0.789
O 0.875 0.290 0.289
O 0.944 0.563 0.398
O 0.944 0.937 0.898
O 0.956 0.150 0.508
O 0.956 0.350 0.008

Values from the calculation:
total DFT energy (no corrections): -280.75 eV/cell
symmetry: P2_1/c

***

Record 7
Computed, not measured: crystalline MgMnO2 at its relaxed geometry at the PBE with a Hubbard U level of DFT.

abc: 3.105 8.221 8.510
angles: 89.89 84.01 89.79
Atoms (fractional coordinates):
Mg 0.153 0.419 0.245
Mg 0.250 0.238 0.619
Mg 0.750 0.762 0.381
Mg 0.847 0.581 0.755
Mn 0.205 0.901 0.715
Mn 0.473 0.747 0.076
Mn 0.527 0.253 0.924
Mn 0.795 0.099 0.285
O 0.024 0.747 0.916
O 0.263 0.240 0.392
O 0.278 0.894 0.282
O 0.348 0.428 0.754
O 0.652 0.572 0.246
O 0.722 0.106 0.718
O 0.737 0.760 0.608
O 0.976 0.253 0.084

Values from the calculation:
total DFT energy (no corrections): -107.54 eV/cell
symmetry: P-1

***

Record 8
Computed, not measured: crystalline Na3V5O23 at its relaxed geometry at the PBE with a Hubbard U level of DFT.

abc: 8.435 10.147 11.983
angles: 107.19 102.14 98.46
Atoms (fractional coordinates):
Na 0.042 0.240 0.466
Na 0.048 0.288 0.846
Na 0.253 0.892 0.025
Na 0.747 0.108 0.975
Na 0.952 0.712 0.154
Na 0.958 0.760 0.534
V 0.174 0.311 0.241
V 0.316 0.517 0.516
V 0.408 0.207 0.432
V 0.448 0.593 0.300
V 0.463 0.707 0.782
V 0.537 0.293 0.218
V 0.552 0.407 0.700
V 0.592 0.793 0.568
V 0.684 0.483 0.484
V 0.826 0.689 0.759
O 0.013 0.758 0.856
O 0.015 0.648 0.330
O 0.028 0.069 0.880
O 0.123 0.763 0.371
O 0.130 0.066 0.658
O 0.134 0.428 0.400
O 0.160 0.588 0.016
O 0.177 0.067 0.917
O 0.197 0.969 0.670
O 0.199 0.183 0.328
O 0.235 0.487 0.224
O 0.239 0.499 0.979
O 0.259 0.614 0.640
O 0.309 0.236 0.149
O 0.337 0.350 0.565
O 0.378 0.073 0.478
O 0.378 0.668 0.454
O 0.389 0.794 0.892
O 0.443 0.415 0.388
O 0.451 0.726 0.248
O 0.456 0.531 0.798
O 0.490 0.840 0.693
O 0.496 0.041 0.814
O 0.504 0.959 0.186
O 0.510 0.160 0.307
O 0.544 0.469 0.202
O 0.549 0.274 0.752
O 0.557 0.585 0.612
O 0.611 0.206 0.108
O 0.622 0.332 0.546
O 0.622 0.927 0.522
O 0.663 0.650 0.435
O 0.691 0.764 0.851
O 0.741 0.386 0.360
O 0.761 0.501 0.021
O 0.765 0.513 0.776
O 0.801 0.817 0.672
O 0.803 0.031 0.330
O 0.823 0.933 0.083
O 0.840 0.412 0.984
O 0.866 0.572 0.600
O 0.870 0.934 0.342
O 0.877 0.237 0.629
O 0.972 0.931 0.120
O 0.985 0.352 0.670
O 0.987 0.242 0.144

Values from the calculation:
total DFT energy (no corrections): -380.53 eV/cell
symmetry: P-1

***

Record 9
Computed, not measured: crystalline Sr4MgFe2Cl2O6 at its relaxed geometry at the PBE with a Hubbard U level of DFT.

abc: 3.891 4.028 17.118
angles: 96.22 93.77 90.01
Atoms (fractional coordinates):
Sr 0.000 0.000 0.000
Sr 0.053 0.093 0.202
Sr 0.448 0.436 0.839
Sr 0.626 0.766 0.475
Mg 0.485 0.344 0.638
Fe 0.525 0.546 0.096
Fe 0.946 0.879 0.714
Cl 0.126 0.267 0.478
Cl 0.579 0.645 0.303
O 0.024 0.369 0.691
O 0.032 0.556 0.119
O 0.488 0.514 0.971
O 0.529 0.056 0.113
O 0.565 0.833 0.614
O 0.968 0.933 0.830

Values from the calculation:
total DFT energy (no corrections): -85.59 eV/cell
symmetry: P1